# KLa7Cu4O16

KLa7Cu4O16 after structural relaxation (PBE-GGA, the Materials Project database).

- Size of the total moment: 1.02 μB/cell
- Total energy after the MP2020 corrections: -209.0 eV per cell

a = 13.6533 Å, b = 13.6533 Å, c = 13.6533 Å
α = 157.13°, β = 157.13°, γ = 32.57°
Sites, in units of the cell vectors:
K: 0.1970 0.1970 0.0000
La: 0.5547 0.5547 0.0000
La: 0.0576 0.0576 0.0000
La: 0.4444 0.9444 0.5000
La: 0.9444 0.4444 0.5000
La: 0.6947 0.6947 0.0000
La: 0.8027 0.3027 0.5000
La: 0.3027 0.8027 0.5000
Cu: 0.1279 0.6279 0.5000
Cu: 0.6279 0.1279 0.5000
Cu: 0.8761 0.8761 0.0000
Cu: 0.3746 0.3746 0.0000
O: 0.3784 0.8625 0.0000
O: 0.8625 0.3784 0.0000
O: 0.3784 0.3784 0.5159
O: 0.8625 0.8625 0.4841
O: 0.6305 0.6305 0.5086
O: 0.1219 0.1219 0.4914
O: 0.6305 0.1219 0.0000
O: 0.1219 0.6305 0.0000
O: 0.9672 0.9672 0.0000
O: 0.4605 0.4605 0.0000
O: 0.0324 0.5324 0.5000
O: 0.5324 0.0324 0.5000
O: 0.7835 0.7835 0.0000
O: 0.2979 0.2979 0.0000
O: 0.2174 0.7174 0.5000
O: 0.7174 0.2174 0.5000

---

# La4Cu4Se3SO4

La4Cu4Se3SO4 after structural relaxation (PBE-GGA, the Materials Project database).

- Size of the total moment: 0.00 μB/cell
- Total energy after the MP2020 corrections: -106.3 eV per cell

a = 5.7436 Å, b = 5.7436 Å, c = 8.7532 Å
α = 90.00°, β = 90.00°, γ = 90.00°
Sites, in units of the cell vectors:
La: 0.0000 0.5000 0.8571
La: 0.5000 0.0000 0.8571
La: 0.5000 0.5000 0.1414
La: 0.0000 0.0000 0.1416
Cu: 0.7522 0.7522 0.5016
Cu: 0.2478 0.2478 0.5016
Cu: 0.7522 0.2478 0.5016
Cu: 0.2478 0.7522 0.5016
Se: 0.0000 0.5000 0.3292
Se: 0.5000 0.0000 0.3292
Se: 0.5000 0.5000 0.6697
S: 0.0000 0.0000 0.6542
O: 0.7504 0.7504 0.9986
O: 0.2496 0.2496 0.9986
O: 0.7504 0.2496 0.9986
O: 0.2496 0.7504 0.9986